1.
Below is a relaxed UV2O6 crystal, with properties calculated at the GGA+U level.

Unit cell a=4.7038 b=5.1275 c=5.1275 alpha=120.00 beta=90.00 gamma=90.00
Last column: nearest neighbours and their distance in Å.
Sites, in units of the cell vectors:
O 0.2623 0.3364 0.0000  2 V 2.04, 1 U 2.12
O 0.2623 0.0000 0.3364  2 V 2.04, 1 U 2.12
O 0.7377 0.3364 0.3364  2 V 2.04, 1 U 2.12
O 0.2623 0.6636 0.6636  2 V 2.04, 1 U 2.12
O 0.7377 0.0000 0.6636  2 V 2.04, 1 U 2.12
O 0.7377 0.6636 0.0000  2 V 2.04, 1 U 2.12
U 0.0000 0.0000 0.0000  6 O 2.12
V 0.5000 0.6667 0.3333  6 O 2.04
V 0.5000 0.3333 0.6667  6 O 2.04

Summary:
**Raw total energy**: -8.747 eV per atom

2.
Below is a relaxed LiMg14FeO16 crystal, with properties calculated at the GGA+U level.

Unit cell a=8.5059 b=8.5135 c=4.2478 alpha=90.00 beta=90.00 gamma=90.00
Last column: nearest neighbours and their distance in Å.
Sites, in units of the cell vectors:
Mg 0.0000 0.2602 0.5000  6 O 2.04-2.22
Mg 0.2522 0.0000 0.5000  6 O 2.11-2.15
Mg 0.5000 0.7476 0.5000  6 O 2.11-2.15
Mg 0.7507 0.2567 0.0000  6 O 2.07-2.19
Mg 0.5000 0.0000 0.0000  6 O 2.10-2.17
Mg 0.2493 0.7433 0.0000  6 O 2.07-2.19
Mg 0.5000 0.5000 0.0000  6 O 2.07-2.16
Mg 0.5000 0.2524 0.5000  6 O 2.11-2.15
Mg 0.2493 0.2567 0.0000  6 O 2.07-2.19
Mg 0.7478 0.0000 0.5000  6 O 2.11-2.15
Mg 0.7507 0.7433 0.0000  6 O 2.07-2.19
Mg 0.2444 0.5000 0.5000  6 O 2.08-2.17
Mg 0.7556 0.5000 0.5000  6 O 2.08-2.17
Mg 0.0000 0.7398 0.5000  6 O 2.04-2.22
O 0.2488 0.2478 0.5000  6 Mg 2.11-2.15
O 0.0000 0.2346 0.0000  1 Fe 2.00, 4 Mg 2.13-2.14
O 0.0000 0.7654 0.0000  1 Fe 2.00, 4 Mg 2.13-2.14
O 0.7512 0.7522 0.5000  6 Mg 2.11-2.15
O 0.7512 0.2478 0.5000  6 Mg 2.11-2.15
O 0.7549 0.0000 0.0000  1 Fe 2.08, 5 Mg 2.12-2.19
O 0.2561 0.5000 0.0000  5 Mg 2.07-2.13, 1 Li 2.18
O 0.5000 0.5000 0.5000  6 Mg 2.11-2.17
O 0.5000 0.2462 0.0000  6 Mg 2.10-2.16
O 0.5000 0.7538 0.0000  6 Mg 2.10-2.16
O 0.0000 0.0000 0.5000  2 Fe 2.12, 4 Mg 2.15-2.22
O 0.5000 0.0000 0.5000  6 Mg 2.11-2.15
O 0.2488 0.7522 0.5000  6 Mg 2.11-2.15
O 0.7439 0.5000 0.0000  5 Mg 2.07-2.13, 1 Li 2.18
O 0.2451 0.0000 0.0000  1 Fe 2.08, 5 Mg 2.12-2.19
O 0.0000 0.5000 0.5000  4 Mg 2.04-2.08, 2 Li 2.12
Fe 0.0000 0.0000 0.0000  6 O 2.00-2.12
Li 0.0000 0.5000 0.0000  6 O 2.12-2.26

Summary:
**Energy above the lowest structure with this stoichiometry**: 0.00 eV per formula unit
**Size of the total moment**: 5.000 μB/cell
**Raw total energy**: -5.990 eV per atom